Material: Li3Sb2P3O12
Method: DFT, PBE
State: optimized geometry

## Properties
Total moment (μB per cell): 0.00
Polymorph energy (0 for the lowest one) (eV/atom): 0.000
DFT total energy (Ry/atom): -0.4801
Formation energy (eV per atom): -2.464

Unit cell a=9.1286 b=9.1718 c=15.9390 alpha=90.00 beta=123.40 gamma=90.00
Positions (direct):
Li (0.0046, 0.2414, 0.3131)
Li (0.0046, 0.2586, 0.8131)
Li (0.2212, 0.0934, 0.2818)
Li (0.2212, 0.4066, 0.7818)
Li (0.4004, 0.2373, 0.1858)
Li (0.4004, 0.2627, 0.6858)
Li (0.5996, 0.7373, 0.3142)
Li (0.5996, 0.7627, 0.8142)
Li (0.7788, 0.5934, 0.2182)
Li (0.7788, 0.9066, 0.7182)
Li (0.9954, 0.7414, 0.1869)
Li (0.9954, 0.7586, 0.6869)
Sb (0.1711, 0.5543, 0.4130)
Sb (0.1711, 0.9457, 0.9130)
Sb (0.3417, 0.5513, 0.0996)
Sb (0.3417, 0.9487, 0.5996)
Sb (0.6583, 0.0513, 0.4004)
Sb (0.6583, 0.4487, 0.9004)
Sb (0.8289, 0.0543, 0.0870)
Sb (0.8289, 0.4457, 0.5870)
P (0.0522, 0.0998, 0.6549)
P (0.0522, 0.4002, 0.1549)
P (0.2660, 0.5825, 0.6607)
P (0.2660, 0.9175, 0.1607)
P (0.4200, 0.2447, 0.4908)
P (0.4200, 0.2553, 0.9908)
P (0.5800, 0.7447, 0.0092)
P (0.5800, 0.7553, 0.5092)
P (0.7340, 0.0825, 0.8393)
P (0.7340, 0.4175, 0.3393)
P (0.9478, 0.5998, 0.8451)
P (0.9478, 0.9002, 0.3451)
O (0.0301, 0.5345, 0.2049)
O (0.0301, 0.9655, 0.7049)
O (0.0627, 0.2423, 0.7098)
O (0.0627, 0.2577, 0.2098)
O (0.1012, 0.5900, 0.6662)
O (0.1012, 0.9100, 0.1662)
O (0.1051, 0.6127, 0.9576)
O (0.1051, 0.8873, 0.4576)
O (0.2084, 0.5394, 0.5520)
O (0.2084, 0.9606, 0.0520)
O (0.2278, 0.0921, 0.6575)
O (0.2278, 0.4079, 0.1575)
O (0.2458, 0.1636, 0.9257)
O (0.2458, 0.3364, 0.4257)
O (0.3672, 0.7274, 0.6935)
O (0.3672, 0.7726, 0.1935)
O (0.3810, 0.0449, 0.2318)
O (0.3810, 0.4551, 0.7318)
O (0.4089, 0.1694, 0.5752)
O (0.4089, 0.3306, 0.0752)
O (0.4190, 0.1317, 0.4194)
O (0.4190, 0.3683, 0.9194)
O (0.4214, 0.6519, 0.4597)
O (0.4214, 0.8481, 0.9597)
O (0.5786, 0.1519, 0.0403)
O (0.5786, 0.3481, 0.5403)
O (0.5810, 0.6317, 0.0806)
O (0.5810, 0.8683, 0.5806)
O (0.5911, 0.6694, 0.9248)
O (0.5911, 0.8306, 0.4248)
O (0.6190, 0.5449, 0.2682)
O (0.6190, 0.9551, 0.7682)
O (0.6328, 0.2274, 0.8065)
O (0.6328, 0.2726, 0.3065)
O (0.7542, 0.6636, 0.5743)
O (0.7542, 0.8364, 0.0743)
O (0.7722, 0.5921, 0.8425)
O (0.7722, 0.9079, 0.3425)
O (0.7916, 0.0394, 0.9480)
O (0.7916, 0.4606, 0.4480)
O (0.8949, 0.1127, 0.5424)
O (0.8949, 0.3873, 0.0424)
O (0.8988, 0.0900, 0.8338)
O (0.8988, 0.4100, 0.3338)
O (0.9373, 0.7423, 0.7902)
O (0.9373, 0.7577, 0.2902)
O (0.9699, 0.0345, 0.2951)
O (0.9699, 0.4655, 0.7951)



Material: LiSb4P7O24
Method: DFT, PBE
State: optimized geometry

## Properties
Total moment (μB per cell): 0.00
DFT total energy (Ry/atom): -0.4983
Formation energy (eV per atom): -2.375

Unit cell a=11.0068 b=11.0340 c=11.6097 alpha=108.34 beta=112.61 gamma=104.25
Positions (direct):
Li (0.0881, 0.2670, 0.1277)
Li (0.9119, 0.7330, 0.8723)
Sb (0.0011, 0.9058, 0.2468)
Sb (0.0234, 0.6597, 0.3897)
Sb (0.4827, 0.8080, 0.9020)
Sb (0.4871, 0.3569, 0.5700)
Sb (0.5129, 0.6431, 0.4300)
Sb (0.5173, 0.1920, 0.0980)
Sb (0.9766, 0.3403, 0.6103)
Sb (0.9989, 0.0942, 0.7532)
P (0.2393, 0.9566, 0.7353)
P (0.2398, 0.1663, 0.6241)
P (0.2400, 0.5228, 0.5504)
P (0.2442, 0.6070, 0.9850)
P (0.2856, 0.7937, 0.2638)
P (0.2881, 0.0488, 0.2215)
P (0.2977, 0.3818, 0.0739)
P (0.7023, 0.6182, 0.9261)
P (0.7119, 0.9512, 0.7785)
P (0.7144, 0.2063, 0.7362)
P (0.7558, 0.3930, 0.0150)
P (0.7600, 0.4772, 0.4496)
P (0.7602, 0.8337, 0.3759)
P (0.7607, 0.0434, 0.2647)
O (0.1025, 0.5324, 0.8483)
O (0.1176, 0.4090, 0.5429)
O (0.1199, 0.9745, 0.1423)
O (0.1280, 0.9796, 0.7809)
O (0.1381, 0.2725, 0.9921)
O (0.1474, 0.2143, 0.6832)
O (0.1537, 0.0645, 0.4679)
O (0.1648, 0.5638, 0.4328)
O (0.1666, 0.7926, 0.2990)
O (0.1680, 0.8229, 0.5979)
O (0.2041, 0.6670, 0.1061)
O (0.3091, 0.0875, 0.7106)
O (0.3094, 0.4986, 0.0174)
O (0.3270, 0.6517, 0.6967)
O (0.3345, 0.4525, 0.2273)
O (0.3401, 0.4630, 0.5131)
O (0.3419, 0.0796, 0.1275)
O (0.3434, 0.1757, 0.3593)
O (0.3503, 0.9367, 0.2584)
O (0.3636, 0.7267, 0.0047)
O (0.3681, 0.9626, 0.8547)
O (0.3711, 0.2950, 0.6630)
O (0.4006, 0.3213, 0.0495)
O (0.4110, 0.7778, 0.3606)
O (0.5890, 0.2222, 0.6394)
O (0.5994, 0.6787, 0.9505)
O (0.6289, 0.7050, 0.3370)
O (0.6319, 0.0374, 0.1453)
O (0.6364, 0.2733, 0.9953)
O (0.6497, 0.0633, 0.7416)
O (0.6566, 0.8243, 0.6407)
O (0.6580, 0.9204, 0.8725)
O (0.6599, 0.5370, 0.4869)
O (0.6655, 0.5475, 0.7727)
O (0.6730, 0.3483, 0.3033)
O (0.6906, 0.5014, 0.9826)
O (0.6909, 0.9125, 0.2894)
O (0.7959, 0.3330, 0.8939)
O (0.8320, 0.1771, 0.4021)
O (0.8334, 0.2074, 0.7010)
O (0.8352, 0.4362, 0.5672)
O (0.8463, 0.9355, 0.5321)
O (0.8526, 0.7857, 0.3168)
O (0.8619, 0.7275, 0.0079)
O (0.8720, 0.0204, 0.2191)
O (0.8801, 0.0255, 0.8577)
O (0.8824, 0.5910, 0.4571)
O (0.8975, 0.4676, 0.1517)



Material: LiSbP4O12
Method: DFT, PBE
State: optimized geometry

## Properties
Total moment (μB per cell): 0.00
Polymorph energy (0 for the lowest one) (eV/atom): 0.064
DFT total energy (Ry/atom): -0.5024
Formation energy (eV per atom): -2.456

Unit cell a=7.0238 b=9.0575 c=7.5270 alpha=90.00 beta=94.09 gamma=90.00
Positions (direct):
Li (0.2049, 0.0000, 0.3036)
Li (0.7951, 0.5000, 0.6964)
Sb (0.2512, 0.6456, 0.7807)
Sb (0.7488, 0.1456, 0.2193)
P (0.0035, 0.6531, 0.0791)
P (0.1078, 0.4533, 0.3830)
P (0.3859, 0.2843, 0.9093)
P (0.4488, 0.6373, 0.4134)
P (0.5512, 0.1373, 0.5866)
P (0.6141, 0.7843, 0.0907)
P (0.8922, 0.9533, 0.6170)
P (0.9965, 0.1531, 0.9209)
O (0.0176, 0.0749, 0.7352)
O (0.0253, 0.0508, 0.0815)
O (0.0525, 0.3038, 0.3159)
O (0.0765, 0.4912, 0.5761)
O (0.1594, 0.2720, 0.9110)
O (0.1915, 0.7336, 0.0683)
O (0.3135, 0.7601, 0.4523)
O (0.3236, 0.4921, 0.3394)
O (0.4147, 0.0873, 0.4389)
O (0.4163, 0.4429, 0.8531)
O (0.4332, 0.1684, 0.7599)
O (0.4702, 0.2350, 0.0883)
O (0.5298, 0.7350, 0.9117)
O (0.5668, 0.6684, 0.2401)
O (0.5837, 0.9429, 0.1469)
O (0.5853, 0.5873, 0.5611)
O (0.6764, 0.9921, 0.6606)
O (0.6865, 0.2601, 0.5477)
O (0.8085, 0.2336, 0.9317)
O (0.8406, 0.7720, 0.0890)
O (0.9235, 0.9912, 0.4239)
O (0.9475, 0.8038, 0.6841)
O (0.9747, 0.5508, 0.9185)
O (0.9824, 0.5749, 0.2648)



Material: Li3Sb2P3O12
Method: DFT, PBE
State: optimized geometry

## Properties
Total moment (μB per cell): 0.00
Polymorph energy (0 for the lowest one) (eV/atom): 0.020
DFT total energy (Ry/atom): -0.4786
Formation energy (eV per atom): -2.444

Unit cell a=8.5784 b=8.5784 c=8.5452 alpha=113.72 beta=113.72 gamma=67.18
Positions (direct):
Li (0.0000, 0.5000, 0.5000)
Li (0.1374, 0.2156, 0.1223)
Li (0.2156, 0.1374, 0.6223)
Li (0.5000, 0.0000, 0.0000)
Li (0.7844, 0.8626, 0.3777)
Li (0.8626, 0.7844, 0.8777)
Sb (0.1634, 0.6386, 0.3404)
Sb (0.3614, 0.8366, 0.1596)
Sb (0.6386, 0.1634, 0.8404)
Sb (0.8366, 0.3614, 0.6596)
P (0.0905, 0.9095, 0.7500)
P (0.2437, 0.4016, 0.9298)
P (0.4016, 0.2437, 0.4298)
P (0.5984, 0.7563, 0.5702)
P (0.7563, 0.5984, 0.0702)
P (0.9095, 0.0905, 0.2500)
O (0.0649, 0.0698, 0.1912)
O (0.0698, 0.0649, 0.6912)
O (0.1022, 0.3941, 0.7394)
O (0.1033, 0.7331, 0.5886)
O (0.1686, 0.3890, 0.0581)
O (0.2248, 0.4000, 0.4005)
O (0.2669, 0.8967, 0.9114)
O (0.3056, 0.5661, 0.9935)
O (0.3890, 0.1686, 0.5581)
O (0.3941, 0.1022, 0.2394)
O (0.4000, 0.2248, 0.9005)
O (0.4339, 0.6944, 0.5065)
O (0.5661, 0.3056, 0.4935)
O (0.6000, 0.7752, 0.0995)
O (0.6059, 0.8978, 0.7606)
O (0.6110, 0.8314, 0.4419)
O (0.6944, 0.4339, 0.0065)
O (0.7331, 0.1033, 0.0886)
O (0.7752, 0.6000, 0.5995)
O (0.8314, 0.6110, 0.9419)
O (0.8967, 0.2669, 0.4114)
O (0.8978, 0.6059, 0.2606)
O (0.9302, 0.9351, 0.3088)
O (0.9351, 0.9302, 0.8088)



Material: LiSbP4O12
Method: DFT, PBE
State: optimized geometry

## Properties
Total moment (μB per cell): 0.00
Polymorph energy (0 for the lowest one) (eV/atom): 0.060
DFT total energy (Ry/atom): -0.5026
Formation energy (eV per atom): -2.459

Unit cell a=7.2461 b=8.8169 c=16.8300 alpha=90.00 beta=114.94 gamma=90.00
Positions (direct):
Li (0.1516, 0.0988, 0.1364)
Li (0.1516, 0.4012, 0.6364)
Li (0.8484, 0.5988, 0.3636)
Li (0.8484, 0.9012, 0.8636)
Sb (0.3044, 0.6635, 0.8966)
Sb (0.3044, 0.8365, 0.3966)
Sb (0.6956, 0.1635, 0.6034)
Sb (0.6956, 0.3365, 0.1034)
P (0.1549, 0.0357, 0.7868)
P (0.1549, 0.4643, 0.2868)
P (0.1563, 0.7473, 0.5694)
P (0.1563, 0.7527, 0.0694)
P (0.2656, 0.2404, 0.4365)
P (0.2656, 0.2596, 0.9365)
P (0.4602, 0.5351, 0.2031)
P (0.4602, 0.9649, 0.7031)
P (0.5398, 0.0351, 0.2969)
P (0.5398, 0.4649, 0.7969)
P (0.7344, 0.7404, 0.0635)
P (0.7344, 0.7596, 0.5635)
P (0.8437, 0.2473, 0.9306)
P (0.8437, 0.2527, 0.4306)
P (0.8451, 0.5357, 0.7132)
P (0.8451, 0.9643, 0.2132)
O (0.0249, 0.5962, 0.7929)
O (0.0249, 0.9038, 0.2929)
O (0.0337, 0.2016, 0.4098)
O (0.0337, 0.2984, 0.9098)
O (0.0963, 0.7348, 0.9718)
O (0.0963, 0.7652, 0.4718)
O (0.1088, 0.5924, 0.3348)
O (0.1088, 0.9076, 0.8348)
O (0.2362, 0.6005, 0.6129)
O (0.2362, 0.8995, 0.1129)
O (0.2603, 0.1728, 0.8516)
O (0.2603, 0.3272, 0.3516)
O (0.2978, 0.6090, 0.1139)
O (0.2978, 0.8910, 0.6139)
O (0.3297, 0.5158, 0.2601)
O (0.3297, 0.9842, 0.7601)
O (0.3653, 0.1344, 0.2476)
O (0.3653, 0.3656, 0.7476)
O (0.3665, 0.0872, 0.4384)
O (0.3665, 0.4128, 0.9384)
O (0.3672, 0.1678, 0.0181)
O (0.3672, 0.3322, 0.5181)
O (0.4967, 0.6193, 0.8271)
O (0.4967, 0.8807, 0.3271)
O (0.5033, 0.1193, 0.6729)
O (0.5033, 0.3807, 0.1729)
O (0.6328, 0.6678, 0.4819)
O (0.6328, 0.8322, 0.9819)
O (0.6335, 0.5872, 0.0616)
O (0.6335, 0.9128, 0.5616)
O (0.6347, 0.6344, 0.2524)
O (0.6347, 0.8656, 0.7524)
O (0.6703, 0.0158, 0.2399)
O (0.6703, 0.4842, 0.7399)
O (0.7022, 0.1090, 0.3861)
O (0.7022, 0.3910, 0.8861)
O (0.7397, 0.6728, 0.6484)
O (0.7397, 0.8272, 0.1484)
O (0.7638, 0.1005, 0.8871)
O (0.7638, 0.3995, 0.3871)
O (0.8912, 0.0924, 0.1652)
O (0.8912, 0.4076, 0.6652)
O (0.9037, 0.2348, 0.5282)
O (0.9037, 0.2652, 0.0282)
O (0.9663, 0.7016, 0.0902)
O (0.9663, 0.7984, 0.5902)
O (0.9751, 0.0962, 0.7071)
O (0.9751, 0.4038, 0.2071)



Material: LiSbP4O12
Method: DFT, PBE
State: optimized geometry

## Properties
Total moment (μB per cell): 0.00
Polymorph energy (0 for the lowest one) (eV/atom): 0.019
DFT total energy (Ry/atom): -0.5056
Formation energy (eV per atom): -2.500

Unit cell a=13.4769 b=8.3448 c=9.9228 alpha=90.00 beta=90.00 gamma=90.00
Positions (direct):
Li (0.0000, 0.0138, 0.2500)
Li (0.0000, 0.9862, 0.7500)
Li (0.5000, 0.4862, 0.7500)
Li (0.5000, 0.5138, 0.2500)
Sb (0.0000, 0.3748, 0.7500)
Sb (0.0000, 0.6252, 0.2500)
Sb (0.5000, 0.1252, 0.2500)
Sb (0.5000, 0.8748, 0.7500)
P (0.1385, 0.1722, 0.5032)
P (0.1385, 0.8278, 0.0032)
P (0.1579, 0.4629, 0.0089)
P (0.1579, 0.5371, 0.5089)
P (0.3421, 0.0371, 0.5089)
P (0.3421, 0.9629, 0.0089)
P (0.3615, 0.3278, 0.0032)
P (0.3615, 0.6722, 0.5032)
P (0.6385, 0.3278, 0.4968)
P (0.6385, 0.6722, 0.9968)
P (0.6579, 0.0371, 0.9911)
P (0.6579, 0.9629, 0.4911)
P (0.8421, 0.4629, 0.4911)
P (0.8421, 0.5371, 0.9911)
P (0.8615, 0.1722, 0.9968)
P (0.8615, 0.8278, 0.4968)
O (0.0671, 0.1718, 0.6226)
O (0.0671, 0.8282, 0.1226)
O (0.0808, 0.4473, 0.1187)
O (0.0808, 0.5527, 0.6187)
O (0.1070, 0.0963, 0.3748)
O (0.1070, 0.9037, 0.8748)
O (0.1380, 0.3720, 0.8805)
O (0.1380, 0.6280, 0.3805)
O (0.1773, 0.3525, 0.4734)
O (0.1773, 0.6475, 0.9734)
O (0.2379, 0.0944, 0.5686)
O (0.2379, 0.9056, 0.0686)
O (0.2621, 0.4056, 0.0686)
O (0.2621, 0.5944, 0.5686)
O (0.3227, 0.1475, 0.9734)
O (0.3227, 0.8525, 0.4734)
O (0.3620, 0.1280, 0.3805)
O (0.3620, 0.8720, 0.8805)
O (0.3930, 0.4037, 0.8748)
O (0.3930, 0.5963, 0.3748)
O (0.4192, 0.0527, 0.6187)
O (0.4192, 0.9473, 0.1187)
O (0.4329, 0.3282, 0.1226)
O (0.4329, 0.6718, 0.6226)
O (0.5671, 0.3282, 0.3774)
O (0.5671, 0.6718, 0.8774)
O (0.5808, 0.0527, 0.8813)
O (0.5808, 0.9473, 0.3813)
O (0.6070, 0.4037, 0.6252)
O (0.6070, 0.5963, 0.1252)
O (0.6380, 0.1280, 0.1195)
O (0.6380, 0.8720, 0.6195)
O (0.6773, 0.1475, 0.5266)
O (0.6773, 0.8525, 0.0266)
O (0.7379, 0.4056, 0.4314)
O (0.7379, 0.5944, 0.9314)
O (0.7621, 0.0944, 0.9314)
O (0.7621, 0.9056, 0.4314)
O (0.8227, 0.3525, 0.0266)
O (0.8227, 0.6475, 0.5266)
O (0.8620, 0.3720, 0.6195)
O (0.8620, 0.6280, 0.1195)
O (0.8930, 0.0963, 0.1252)
O (0.8930, 0.9037, 0.6252)
O (0.9192, 0.4473, 0.3813)
O (0.9192, 0.5527, 0.8813)
O (0.9329, 0.1718, 0.8774)
O (0.9329, 0.8282, 0.3774)



> What is the formula in the first record?

Li3Sb2P3O12



Repeat the third record exactly.
Material: LiSbP4O12
Method: DFT, PBE
State: optimized geometry

## Properties
Total moment (μB per cell): 0.00
Polymorph energy (0 for the lowest one) (eV/atom): 0.064
DFT total energy (Ry/atom): -0.5024
Formation energy (eV per atom): -2.456

Unit cell a=7.0238 b=9.0575 c=7.5270 alpha=90.00 beta=94.09 gamma=90.00
Positions (direct):
Li (0.2049, 0.0000, 0.3036)
Li (0.7951, 0.5000, 0.6964)
Sb (0.2512, 0.6456, 0.7807)
Sb (0.7488, 0.1456, 0.2193)
P (0.0035, 0.6531, 0.0791)
P (0.1078, 0.4533, 0.3830)
P (0.3859, 0.2843, 0.9093)
P (0.4488, 0.6373, 0.4134)
P (0.5512, 0.1373, 0.5866)
P (0.6141, 0.7843, 0.0907)
P (0.8922, 0.9533, 0.6170)
P (0.9965, 0.1531, 0.9209)
O (0.0176, 0.0749, 0.7352)
O (0.0253, 0.0508, 0.0815)
O (0.0525, 0.3038, 0.3159)
O (0.0765, 0.4912, 0.5761)
O (0.1594, 0.2720, 0.9110)
O (0.1915, 0.7336, 0.0683)
O (0.3135, 0.7601, 0.4523)
O (0.3236, 0.4921, 0.3394)
O (0.4147, 0.0873, 0.4389)
O (0.4163, 0.4429, 0.8531)
O (0.4332, 0.1684, 0.7599)
O (0.4702, 0.2350, 0.0883)
O (0.5298, 0.7350, 0.9117)
O (0.5668, 0.6684, 0.2401)
O (0.5837, 0.9429, 0.1469)
O (0.5853, 0.5873, 0.5611)
O (0.6764, 0.9921, 0.6606)
O (0.6865, 0.2601, 0.5477)
O (0.8085, 0.2336, 0.9317)
O (0.8406, 0.7720, 0.0890)
O (0.9235, 0.9912, 0.4239)
O (0.9475, 0.8038, 0.6841)
O (0.9747, 0.5508, 0.9185)
O (0.9824, 0.5749, 0.2648)